Entry from the Materials Project database: a relaxed structure of NaSbSe2 (r2SCAN).

Summary:
Final energy in eV per atom: -15.201
Formation energy in meV per atom: -727.2

Lattice parameters (Å, degrees): 7.402 7.402 7.402 32.29 32.29 32.29
Positions (direct):
Na1 0.000 0.000 0.000
Sb1 0.500 0.500 0.500
Se1 0.245 0.245 0.245
Se2 0.755 0.755 0.755